Computed, not measured: a geometry-optimized EuAl8Fe2 structure at the r²SCAN level of DFT.

- Formation enthalpy at 0 K: -0.31 eV/atom
- Space-group type: Pm, No. 6

Geometry as POSCAR:
```
EuAl8Fe2
1.0
-0.705 1.944 -3.458
-11.673 2.238 3.639
4.208 12.281 6.045
Al Fe Eu
32 8 4
Direct
0.500 0.974 0.866 Al
0.000 0.000 0.000 Al
0.500 0.767 0.827 Al
0.000 0.593 0.245 Al
0.000 0.408 0.755 Al
0.500 0.952 0.322 Al
0.000 0.832 0.451 Al
0.000 0.093 0.256 Al
0.500 0.267 0.672 Al
0.500 0.334 0.495 Al
0.500 0.834 0.005 Al
0.500 0.047 0.679 Al
0.000 0.168 0.547 Al
0.500 0.548 0.821 Al
0.500 0.474 0.633 Al
0.500 0.026 0.134 Al
0.000 0.333 0.049 Al
0.500 0.733 0.328 Al
0.500 0.001 0.500 Al
0.000 0.500 0.500 Al
0.500 0.842 0.620 Al
0.500 0.232 0.174 Al
0.000 0.668 0.951 Al
0.000 0.907 0.744 Al
0.500 0.159 0.380 Al
0.500 0.342 0.880 Al
0.500 0.452 0.178 Al
0.500 0.501 0.000 Al
0.500 0.666 0.505 Al
0.500 0.526 0.367 Al
0.500 0.659 0.120 Al
0.500 0.166 0.995 Al
0.000 0.648 0.400 Fe
0.000 0.352 0.600 Fe
0.000 0.148 0.099 Fe
0.000 0.853 0.901 Fe
0.000 0.033 0.415 Fe
0.000 0.533 0.086 Fe
0.000 0.966 0.585 Fe
0.000 0.465 0.915 Fe
0.000 0.840 0.181 Eu
0.000 0.160 0.818 Eu
0.000 0.661 0.680 Eu
0.000 0.340 0.319 Eu
```